A.
## OsClF8 (PBE-GGA)

Data for a relaxed OsClF8 crystal.

SG: P2/c, No. 13

abc: 5.712 6.809 10.698
angles: 51.03 90.00 90.00
Element x y z (fractional)
Os 0.470 0.000 0.250
F 0.983 0.638 0.285
F 0.759 0.869 0.914
F 0.759 0.131 0.586
F 0.983 0.362 0.215
Cl 0.826 0.500 0.750
Os 0.530 0.000 0.750
F 0.529 0.318 0.711
F 0.529 0.682 0.789
F 0.710 0.122 0.092
F 0.290 0.122 0.592
F 0.241 0.131 0.086
F 0.710 0.878 0.408
F 0.471 0.682 0.289
Cl 0.174 0.500 0.250
F 0.290 0.878 0.908
F 0.017 0.638 0.785
F 0.241 0.869 0.414
F 0.471 0.318 0.211
F 0.017 0.362 0.715



B.
## OsClF8 (PBE-GGA)

Data for a relaxed OsClF8 crystal.

SG: P1, No. 1

abc: 5.652 5.677 6.155
angles: 91.61 89.22 86.65
Element x y z (fractional)
F 0.749 0.181 0.993
F 0.320 0.359 0.709
F 0.685 0.627 0.716
Cl 0.000 0.000 0.936
F 0.315 0.371 0.279
F 0.680 0.646 0.285
F 0.249 0.816 0.980
Os 0.500 0.501 0.496
F 0.292 0.770 0.506
F 0.709 0.232 0.489



Stability verdict: B, ahead by 18 meV per atom



A.
## K3NaFeCl6 (PBE-GGA)

Data for a relaxed K3NaFeCl6 crystal.

SG: R-3c, No. 167

abc: 8.433 8.433 8.433
angles: 92.80 92.80 92.80
Element x y z (fractional)
Fe 0.500 0.500 0.500
Cl 0.421 0.216 0.545
Cl 0.716 0.921 0.045
Cl 0.784 0.455 0.579
Fe 0.000 0.000 0.000
K 0.126 0.374 0.750
K 0.874 0.626 0.250
Cl 0.079 0.955 0.284
Cl 0.921 0.045 0.716
Cl 0.455 0.579 0.784
Cl 0.545 0.421 0.216
Cl 0.045 0.716 0.921
Cl 0.284 0.079 0.955
K 0.250 0.874 0.626
Cl 0.955 0.284 0.079
Cl 0.216 0.545 0.421
K 0.750 0.126 0.374
Na 0.250 0.250 0.250
K 0.374 0.750 0.126
Na 0.750 0.750 0.750
K 0.626 0.250 0.874
Cl 0.579 0.784 0.455



B.
## K3NaFeCl6 (PBE-GGA)

Data for a relaxed K3NaFeCl6 crystal.

SG: R-3m, No. 166

abc: 7.777 7.777 7.777
angles: 111.56 111.56 111.56
Element x y z (fractional)
K 0.500 0.000 0.500
Cl 0.468 0.195 0.195
Na 0.000 0.000 0.000
Cl 0.195 0.195 0.468
K 0.500 0.500 0.000
K 0.000 0.500 0.500
Cl 0.805 0.805 0.532
Fe 0.500 0.500 0.500
Cl 0.195 0.468 0.195
Cl 0.805 0.532 0.805
Cl 0.532 0.805 0.805



Stability verdict: A, ahead by 41 meV per atom



A.
## FeNCl3 (PBE-GGA)

Data for a relaxed FeNCl3 crystal.

SG: P6_3mc, No. 186

abc: 5.609 8.441 8.441
angles: 120.00 90.00 90.00
Element x y z (fractional)
Cl 0.810 0.121 0.243
Fe 0.561 0.000 0.000
N 0.258 0.333 0.667
Fe 0.061 0.000 0.000
Cl 0.810 0.121 0.879
N 0.758 0.667 0.333
Cl 0.810 0.757 0.879
Cl 0.310 0.243 0.121
Cl 0.310 0.879 0.757
Cl 0.310 0.879 0.121



B.
## FeNCl3 (PBE-GGA)

Data for a relaxed FeNCl3 crystal.

SG: P6_3/mmc, No. 194

abc: 6.844 6.844 5.564
angles: 90.00 90.00 120.00
Element x y z (fractional)
Cl 0.297 0.149 0.750
Cl 0.851 0.149 0.750
Cl 0.703 0.851 0.250
N 0.333 0.667 0.750
Fe 0.000 0.000 0.500
Cl 0.851 0.703 0.750
Fe 0.000 0.000 0.000
Cl 0.149 0.297 0.250
N 0.667 0.333 0.250
Cl 0.149 0.851 0.250



Stability verdict: A, ahead by 9 meV per atom